1.
## MgW2O4 (PBE+U)

Data for MgW2O4 after structural relaxation.

Excess energy over the best structure of this formula in the dataset = 0.74 eV/f.u.

Lattice parameters (Å, degrees): 6.3341 6.3341 15.5209 88.96 88.96 61.68
Closest atoms and distances in Å follow each position.
Sites, in units of the cell vectors:
Mg1 0.3372 0.3372 0.0471  4 O 2.04-2.13
Mg2 0.6628 0.6628 0.3311  6 O 2.10-2.21
Mg3 0.8285 0.8285 0.1632  6 O 2.12-2.16
Mg4 0.3339 0.3339 0.6635  6 O 2.11-2.18
Mg5 0.4990 0.4990 0.4983  6 O 2.09-2.17
Mg6 0.1762 0.1762 0.8356  6 O 2.04-2.24
W1 0.8232 0.3362 0.1688  6 O 2.17-2.22
W2 0.0375 0.0375 0.3640  3 O 2.01-2.02
W3 0.0024 0.0024 0.0082  6 O 2.15-2.18
W4 0.3362 0.8232 0.1688  6 O 2.17-2.22
W5 0.5022 0.9924 0.4958  6 O 2.15-2.25
W6 0.6764 0.6764 0.7451  3 O 2.02
W7 0.9924 0.5022 0.4958  6 O 2.15-2.25
W8 0.1753 0.6715 0.8344  6 O 2.14-2.23
W9 0.2897 0.2897 0.2985  3 O 2.01-2.02
W10 0.6715 0.1753 0.8344  6 O 2.14-2.23
W11 0.9937 0.9937 0.5924  3 O 2.02
W12 0.6676 0.6676 0.9364  3 O 2.00-2.01
O1 0.6838 0.1550 0.0873  2 Mg 2.04-2.16, 2 W 2.15-2.18
O2 0.9881 0.9881 0.2402  3 W 2.01-2.22, 1 Mg 2.13
O3 0.1550 0.6838 0.0873  2 Mg 2.04-2.16, 2 W 2.15-2.18
O4 0.1592 0.1592 0.0909  1 Mg 2.04, 3 W 2.16-2.22
O5 0.3497 0.8074 0.4201  2 W 2.02-2.20, 2 Mg 2.09-2.21
O6 0.5079 0.5079 0.2511  1 Mg 2.11, 2 W 2.17
O7 0.6619 0.6619 0.5683  1 Mg 2.10, 2 W 2.15
O8 0.5219 0.9759 0.2448  2 W 2.01-2.21, 2 Mg 2.12-2.19
O9 0.8074 0.3497 0.4201  2 W 2.02-2.20, 2 Mg 2.09-2.21
O10 0.6649 0.6649 0.0897  1 Mg 2.13, 3 W 2.20-2.38
O11 0.8128 0.8128 0.4142  1 Mg 2.10, 2 W 2.15
O12 0.9759 0.5219 0.2448  2 W 2.01-2.21, 2 Mg 2.12-2.19
O13 0.0368 0.4902 0.7515  2 W 2.02-2.19, 2 Mg 2.14-2.17
O14 0.1790 0.1790 0.5821  3 W 2.02-2.25, 1 Mg 2.13
O15 0.1799 0.6335 0.5798  2 W 2.02-2.20, 2 Mg 2.11-2.17
O16 0.4902 0.0368 0.7515  2 W 2.02-2.19, 2 Mg 2.14-2.17
O17 0.3340 0.3340 0.9101  2 Mg 2.09-2.13, 2 W 2.21
O18 0.3404 0.3404 0.4231  3 W 2.02-2.23, 1 Mg 2.10
O19 0.4906 0.4906 0.7484  3 W 2.02-2.21, 1 Mg 2.18
O20 0.6335 0.1799 0.5798  2 W 2.02-2.20, 2 Mg 2.11-2.17
O21 0.8513 0.8513 0.9190  4 W 2.01-2.23
O22 0.8503 0.3120 0.9216  3 W 2.00-2.21
O23 0.0146 0.0146 0.7713  1 Mg 2.04, 2 W 2.14
O24 0.3120 0.8503 0.9216  3 W 2.00-2.21

2.
## LiVF4 (PBE+U)

Data for LiVF4 after structural relaxation.

Excess energy over the best structure of this formula in the dataset = 0.46 eV/f.u.
Spin magnetization = 2.000 μB/f.u.

Lattice parameters (Å, degrees): 7.5559 7.6937 10.6046 90.00 90.00 90.00
Closest atoms and distances in Å follow each position.
Sites, in units of the cell vectors:
Li1 0.5000 0.2653 0.2662  3 F 2.01-2.13
Li2 0.5000 0.0468 0.7568  3 F 1.94-2.00
Li3 0.5000 0.8510 0.2576  3 F 1.98
Li4 0.5000 0.5895 0.7620  3 F 1.97-2.08
Li5 0.0000 0.0895 0.2380  3 F 1.97-2.08
Li6 0.0000 0.3510 0.7424  3 F 1.98
Li7 0.0000 0.5468 0.2432  3 F 1.94-2.00
Li8 0.0000 0.7653 0.7338  3 F 2.01-2.13
V1 0.7477 0.4923 0.5042  6 F 1.88-2.08
V2 0.7504 0.7380 0.0041  6 F 1.90-2.08
V3 0.7496 0.2380 0.9959  6 F 1.90-2.08
V4 0.7523 0.9923 0.4958  6 F 1.88-2.08
V5 0.2477 0.9923 0.4958  6 F 1.88-2.08
V6 0.2504 0.2380 0.9959  6 F 1.90-2.08
V7 0.2496 0.7380 0.0041  6 F 1.90-2.08
V8 0.2523 0.4923 0.5042  6 F 1.88-2.08
F1 0.5000 0.2029 0.0710  2 V 2.07, 1 Li 2.13
F2 0.5000 0.0295 0.5685  1 Li 2.00, 2 V 2.08
F3 0.5000 0.7858 0.0772  1 Li 1.98, 2 V 2.08
F4 0.5000 0.4730 0.5847  2 V 2.06, 1 Li 2.08
F5 0.6677 0.7576 0.8350  1 V 1.90, 1 Li 1.97
F6 0.6714 0.4370 0.3399  1 V 1.88, 1 Li 2.01
F7 0.6715 0.0216 0.3248  1 V 1.93, 1 Li 1.98
F8 0.6797 0.2008 0.8256  1 V 1.90, 1 Li 1.94
F9 0.6938 0.4868 0.9868  2 V 1.96-1.99
F10 0.6953 0.7402 0.4759  2 V 1.97-2.00
F11 0.8047 0.2402 0.5241  2 V 1.97-2.00
F12 0.8062 0.9868 0.0132  2 V 1.96-1.99
F13 0.8203 0.7008 0.1744  1 V 1.90, 1 Li 1.94
F14 0.8285 0.5216 0.6752  1 V 1.93, 1 Li 1.98
F15 0.8286 0.9370 0.6601  1 V 1.88, 1 Li 2.01
F16 0.8323 0.2576 0.1650  1 V 1.90, 1 Li 1.97
F17 0.0000 0.2858 0.9228  1 Li 1.98, 2 V 2.08
F18 0.0000 0.5295 0.4315  1 Li 2.00, 2 V 2.08
F19 0.0000 0.9730 0.4153  2 V 2.06, 1 Li 2.08
F20 0.0000 0.7029 0.9290  2 V 2.07, 1 Li 2.13
F21 0.1677 0.2576 0.1650  1 V 1.90, 1 Li 1.97
F22 0.1714 0.9370 0.6601  1 V 1.88, 1 Li 2.01
F23 0.1715 0.5216 0.6752  1 V 1.93, 1 Li 1.98
F24 0.1797 0.7008 0.1744  1 V 1.90, 1 Li 1.94
F25 0.1938 0.9868 0.0132  2 V 1.96-1.99
F26 0.1953 0.2402 0.5241  2 V 1.97-2.00
F27 0.3047 0.7402 0.4759  2 V 1.97-2.00
F28 0.3062 0.4868 0.9868  2 V 1.96-1.99
F29 0.3203 0.2008 0.8256  1 V 1.90, 1 Li 1.94
F30 0.3285 0.0216 0.3248  1 V 1.93, 1 Li 1.98
F31 0.3286 0.4370 0.3399  1 V 1.88, 1 Li 2.01
F32 0.3323 0.7576 0.8350  1 V 1.90, 1 Li 1.97

3.
## BaYVCuO5 (PBE+U)

Data for BaYVCuO5 after structural relaxation.

Spin magnetization = 1.663 μB/f.u.

Lattice parameters (Å, degrees): 3.9189 3.9189 8.0086 90.00 90.00 90.00
Closest atoms and distances in Å follow each position.
Sites, in units of the cell vectors:
Ba1 0.0000 0.0000 0.0087  8 O 2.84-2.90
Y1 0.0000 0.0000 0.4597  8 O 2.40-2.45
V1 0.5000 0.5000 0.7014  5 O 1.83-2.04
Cu1 0.5000 0.5000 0.2686  4 O 1.96
O1 0.0000 0.5000 0.6320  2 V 2.04
O2 0.5000 0.0000 0.6320  2 V 2.04
O3 0.0000 0.5000 0.2755  2 Cu 1.96
O4 0.5000 0.0000 0.2755  2 Cu 1.96
O5 0.5000 0.5000 0.9296  1 V 1.83

4.
## NiH20Se2N2O14 (PBE+U)

Data for NiH20Se2N2O14 after structural relaxation.

Excess energy over the best structure of this formula in the dataset = 24.05 eV/f.u.
Spin magnetization = 8.000 μB/f.u.

Lattice parameters (Å, degrees): 14.5020 7.3450 9.5532 75.06 90.00 90.00
Closest atoms and distances in Å follow each position.
Sites, in units of the cell vectors:
Ni1 0.5000 0.0000 0.5000  4 O 1.84-2.01
Ni2 0.0000 0.0000 0.0000  4 O 1.84-2.01
H1 0.1684 0.8103 0.5774  1 N 1.04
H2 0.6684 0.1897 0.9226  1 N 1.04
H3 0.8316 0.1897 0.4226  1 N 1.04
H4 0.3316 0.8103 0.0774  1 N 1.04
H5 0.2912 0.6950 0.7853  1 H 2.21, 1 O 2.28
H6 0.7912 0.3050 0.7147  1 H 2.21, 1 O 2.28
H7 0.7088 0.3050 0.2147  1 H 2.21, 1 O 2.28
H8 0.2088 0.6950 0.2853  1 H 2.21, 1 O 2.28
H9 0.1575 0.5987 0.5526  1 N 1.03
H10 0.6575 0.4013 0.9474  1 N 1.03
H11 0.8425 0.4013 0.4474  1 N 1.03
H12 0.3425 0.5987 0.0526  1 N 1.03
H13 0.0355 0.5963 0.7098  1 O 1.01
H14 0.5355 0.4037 0.7902  1 O 1.01
H15 0.9645 0.4037 0.2902  1 O 1.01
H16 0.4645 0.5963 0.2098  1 O 1.01
H17 0.4725 0.0702 0.8509  1 H 0.75
H18 0.9725 0.9298 0.6491  1 H 0.75
H19 0.5275 0.9298 0.1491  1 H 0.75
H20 0.0275 0.0702 0.3509  1 H 0.75
H21 0.3756 0.9361 0.6661  1 O 0.99
H22 0.8756 0.0639 0.8339  1 O 0.99
H23 0.6244 0.0639 0.3339  1 O 0.99
H24 0.1244 0.9361 0.1661  1 O 0.99
H25 0.3998 0.1140 0.1408  1 O 0.98
H26 0.8998 0.8860 0.3592  1 O 0.98
H27 0.6002 0.8860 0.8592  1 O 0.98
H28 0.1002 0.1140 0.6408  1 O 0.98
H29 0.0430 0.9711 0.3858  1 H 0.75
H30 0.5430 0.0289 0.1142  1 H 0.75
H31 0.9570 0.0289 0.6142  1 H 0.75
H32 0.4570 0.9711 0.8858  1 H 0.75
H33 0.5406 0.6162 0.3240  1 O 0.97
H34 0.0406 0.3838 0.1760  1 O 0.97
H35 0.4594 0.3838 0.6760  1 O 0.97
H36 0.9594 0.6162 0.8240  1 O 0.97
H37 0.7006 0.9377 0.4916  1 O 1.03
H38 0.2006 0.0623 0.0084  1 O 1.03
H39 0.2994 0.0623 0.5084  1 O 1.03
H40 0.7994 0.9377 0.9916  1 O 1.03
Se1 0.3211 0.2797 0.9316  2 O 1.65-1.81
Se2 0.8211 0.7203 0.5684  2 O 1.65-1.81
Se3 0.6789 0.7203 0.0684  2 O 1.65-1.81
Se4 0.1789 0.2797 0.4316  2 O 1.65-1.81
N1 0.1281 0.6897 0.6065  2 H 1.03-1.04
N2 0.6281 0.3103 0.8935  2 H 1.03-1.04
N3 0.8719 0.3103 0.3935  2 H 1.03-1.04
N4 0.3719 0.6897 0.1065  2 H 1.03-1.04
O1 0.2434 0.4325 0.9551  1 Se 1.65
O2 0.7434 0.5675 0.5449  1 Se 1.65
O3 0.7566 0.5675 0.0449  1 Se 1.65
O4 0.2566 0.4325 0.4551  1 Se 1.65
O5 0.3834 0.2474 0.1056  1 H 0.98
O6 0.8834 0.7526 0.3944  1 H 0.98
O7 0.6166 0.7526 0.8944  1 H 0.98
O8 0.1166 0.2474 0.6056  1 H 0.98
O9 0.4755 0.4576 0.7438  2 H 0.97-1.01
O10 0.9755 0.5424 0.7562  2 H 0.97-1.01
O11 0.5245 0.5424 0.2562  2 H 0.97-1.01
O12 0.0245 0.4576 0.2438  2 H 0.97-1.01
O13 0.2656 0.0519 0.9681  1 H 1.03
O14 0.7656 0.9481 0.5319  1 H 1.03
O15 0.7344 0.9481 0.0319  1 H 1.03
O16 0.2344 0.0519 0.4681  1 H 1.03
O17 0.3712 0.7210 0.4833  1 O 1.24
O18 0.8712 0.2790 0.0167  1 O 1.24
O19 0.6288 0.2790 0.5167  1 O 1.24
O20 0.1288 0.7210 0.9833  1 O 1.24
O21 0.6046 0.9499 0.4071  1 H 0.99
O22 0.1046 0.0501 0.0929  1 H 0.99
O23 0.3954 0.0501 0.5929  1 H 0.99
O24 0.8954 0.9499 0.9071  1 H 0.99
O25 0.4543 0.7382 0.5095  1 O 1.24
O26 0.9543 0.2618 0.9905  1 O 1.24
O27 0.5457 0.2618 0.4905  1 O 1.24
O28 0.0457 0.7382 0.0095  1 O 1.24

5.
## Li2Cr3WO8 (PBE+U)

Data for Li2Cr3WO8 after structural relaxation.

Excess energy over the best structure of this formula in the dataset = 0.17 eV/f.u.
Spin magnetization = 9.999 μB/f.u.

Lattice parameters (Å, degrees): 8.5530 8.5328 8.5407 90.13 90.02 90.07
Closest atoms and distances in Å follow each position.
Sites, in units of the cell vectors:
Li1 0.9947 0.9938 0.9936  4 O 1.99-2.07
Li2 0.2553 0.2565 0.2555  4 O 1.99-2.07
Li3 0.2432 0.7435 0.7564  4 O 1.99-2.06
Li4 0.5062 0.0060 0.4940  4 O 1.99-2.07
Li5 0.4939 0.5063 0.0061  4 O 1.99-2.06
Li6 0.7561 0.2437 0.7445  4 O 1.99-2.08
Li7 0.7435 0.7557 0.2434  4 O 1.99-2.07
Li8 0.0068 0.4943 0.5067  4 O 1.99-2.07
Cr1 0.1229 0.1257 0.6256  6 O 2.00-2.09
Cr2 0.1256 0.3758 0.8746  6 O 2.00-2.06
Cr3 0.1265 0.6250 0.1235  6 O 2.00-2.08
Cr4 0.3719 0.3764 0.6235  6 O 1.99-2.10
Cr5 0.3758 0.6228 0.3739  6 O 2.00-2.08
Cr6 0.3759 0.8724 0.1246  6 O 1.99-2.08
Cr7 0.6229 0.3736 0.3729  6 O 2.00-2.08
Cr8 0.6256 0.1245 0.1255  6 O 2.00-2.06
Cr9 0.6265 0.8760 0.8777  6 O 1.99-2.09
Cr10 0.8731 0.1252 0.3771  6 O 2.00-2.06
Cr11 0.8767 0.8759 0.6274  6 O 1.99-2.09
Cr12 0.8767 0.6271 0.8737  6 O 2.00-2.08
W1 0.1249 0.8745 0.3748  6 O 1.99-2.04
W2 0.3746 0.1249 0.8751  6 O 1.99-2.05
W3 0.6249 0.6248 0.6256  6 O 1.98-2.04
W4 0.8753 0.3755 0.1248  6 O 2.00-2.05
O1 0.1138 0.1104 0.3856  1 W 2.02, 2 Cr 2.06, 1 Li 2.06
O2 0.1125 0.8850 0.6137  2 Cr 2.02-2.06, 1 W 2.04, 1 Li 2.05
O3 0.1091 0.6093 0.8909  1 Li 1.99, 3 Cr 2.00
O4 0.1367 0.1352 0.8628  2 Cr 2.03-2.06, 1 W 2.04, 1 Li 2.05
O5 0.1134 0.3865 0.1146  2 Cr 2.04-2.05, 1 Li 2.04, 1 W 2.04
O6 0.1408 0.3592 0.6406  3 Cr 1.99-2.01, 1 Li 1.99
O7 0.1377 0.6394 0.3663  1 W 2.01, 2 Cr 2.04-2.08, 1 Li 2.06
O8 0.1362 0.8637 0.1366  1 W 2.04, 2 Cr 2.04-2.05, 1 Li 2.05
O9 0.3665 0.1363 0.6422  1 W 1.99, 2 Cr 2.06-2.09, 1 Li 2.07
O10 0.3644 0.3609 0.8639  1 W 2.02, 2 Cr 2.05-2.06, 1 Li 2.06
O11 0.3591 0.6404 0.1407  1 Li 1.99, 3 Cr 1.99-2.00
O12 0.3870 0.6129 0.6150  2 Cr 2.02-2.06, 1 W 2.04, 1 Li 2.05
O13 0.3578 0.8656 0.3647  1 W 2.00, 2 Cr 2.06-2.08, 1 Li 2.06
O14 0.3907 0.3900 0.3905  1 Li 1.99, 3 Cr 2.00
O15 0.3858 0.1150 0.1077  1 W 1.99, 2 Cr 2.06-2.08, 1 Li 2.07
O16 0.3845 0.8892 0.8872  1 W 2.02, 2 Cr 2.03-2.07, 1 Li 2.06
O17 0.6162 0.3930 0.6134  1 W 1.98, 2 Cr 2.06-2.10, 1 Li 2.08
O18 0.6140 0.6143 0.3881  1 W 2.03, 2 Cr 2.04-2.06, 1 Li 2.05
O19 0.6093 0.8907 0.1097  1 Li 1.99, 3 Cr 1.99-2.01
O20 0.6364 0.3647 0.1371  2 Cr 2.02-2.05, 1 W 2.05, 1 Li 2.05
O21 0.6134 0.1137 0.8854  2 Cr 2.03-2.05, 1 Li 2.04, 1 W 2.05
O22 0.6405 0.1402 0.3596  1 Li 1.99, 3 Cr 2.00-2.01
O23 0.6357 0.8573 0.6341  1 W 1.99, 2 Cr 2.07-2.09, 1 Li 2.07
O24 0.6345 0.6376 0.8615  1 W 2.02, 2 Cr 2.04-2.08, 1 Li 2.06
O25 0.8659 0.3631 0.3586  1 W 2.00, 2 Cr 2.04-2.08, 1 Li 2.07
O26 0.8641 0.1404 0.1360  1 W 2.01, 2 Cr 2.05-2.06, 1 Li 2.07
O27 0.8590 0.8597 0.8595  1 Li 1.99, 3 Cr 1.99-2.00
O28 0.8923 0.8865 0.3838  1 W 1.99, 2 Cr 2.04-2.09, 1 Li 2.07
O29 0.8632 0.6355 0.6361  2 Cr 2.03-2.06, 1 W 2.04, 1 Li 2.04
O30 0.8906 0.1098 0.6095  1 Li 1.99, 3 Cr 2.00-2.01
O31 0.8854 0.3852 0.8913  1 W 2.00, 1 Li 2.06, 2 Cr 2.06-2.07
O32 0.8838 0.6097 0.1131  1 W 2.00, 2 Cr 2.05-2.08, 1 Li 2.06

6.
## Li3Fe3P4O16 (PBE+U)

Data for Li3Fe3P4O16 after structural relaxation.

Excess energy over the best structure of this formula in the dataset = 1.09 eV/f.u.
Spin magnetization = 14.999 μB/f.u.

Lattice parameters (Å, degrees): 11.2771 6.0932 8.8606 79.52 90.00 90.00
Closest atoms and distances in Å follow each position.
Sites, in units of the cell vectors:
Li1 0.3936 0.8356 0.9232  3 O 1.98-2.11
Li2 0.6134 0.6474 0.0628  4 O 1.97-2.18
Li3 0.8936 0.1644 0.0768  3 O 1.98-2.11
Li4 0.1907 0.1058 0.3520  4 O 2.01-2.23
Li5 0.6907 0.8942 0.6480  4 O 2.01-2.23
Li6 0.1134 0.3526 0.9372  4 O 1.97-2.18
Fe1 0.9080 0.6118 0.2401  4 O 1.87-1.99
Fe2 0.5835 0.0796 0.2653  4 O 1.87-2.08
Fe3 0.2994 0.6204 0.3569  4 O 1.91-2.08
Fe4 0.7994 0.3796 0.6431  4 O 1.91-2.08
Fe5 0.4080 0.3882 0.7599  4 O 1.87-1.99
Fe6 0.0835 0.9204 0.7347  4 O 1.87-2.08
P1 0.8673 0.6344 0.8972  4 O 1.52-1.58
P2 0.4119 0.9293 0.5906  4 O 1.55-1.58
P3 0.0874 0.4541 0.6093  4 O 1.54-1.56
P4 0.9119 0.0707 0.4094  4 O 1.55-1.58
P5 0.5874 0.5459 0.3907  4 O 1.54-1.56
P6 0.1352 0.8694 0.0856  4 O 1.51-1.57
P7 0.6352 0.1306 0.9144  4 O 1.51-1.57
P8 0.3673 0.3656 0.1028  4 O 1.52-1.58
O1 0.0348 0.0215 0.4852  1 P 1.55
O2 0.0548 0.6592 0.1411  1 P 1.57
O3 0.0673 0.0841 0.0844  1 P 1.51
O4 0.6915 0.1487 0.0719  1 P 1.55
O5 0.4400 0.5786 0.0827  1 P 1.52
O6 0.8063 0.6600 0.0536  1 P 1.58
O7 0.1915 0.8513 0.9281  1 P 1.55
O8 0.5673 0.9159 0.9156  1 P 1.51
O9 0.3063 0.3400 0.9464  1 P 1.58
O10 0.9400 0.4214 0.9173  1 P 1.52
O11 0.9422 0.8519 0.8442  1 P 1.57
O12 0.7369 0.1438 0.7932  1 P 1.56
O13 0.5548 0.3408 0.8589  1 P 1.57
O14 0.1065 0.2341 0.7252  1 P 1.55
O15 0.7719 0.6277 0.7718  1 P 1.55
O16 0.3764 0.1209 0.6795  1 P 1.57
O17 0.4422 0.1481 0.1558  1 P 1.57
O18 0.1278 0.6363 0.6981  1 P 1.54
O19 0.8145 0.1006 0.5273  1 P 1.55
O20 0.5348 0.9785 0.5148  1 P 1.55
O21 0.4126 0.7108 0.7169  1 P 1.58
O22 0.9558 0.4831 0.5569  1 P 1.56
O23 0.6700 0.5383 0.5305  1 P 1.54
O24 0.3145 0.8994 0.4727  1 P 1.55
O25 0.1700 0.4617 0.4695  1 P 1.54
O26 0.4558 0.5169 0.4431  1 P 1.56
O27 0.8764 0.8791 0.3205  1 P 1.57
O28 0.6065 0.7659 0.2748  1 P 1.55
O29 0.6278 0.3637 0.3019  1 P 1.54
O30 0.9126 0.2892 0.2831  1 P 1.58
O31 0.2369 0.8562 0.2068  1 P 1.56
O32 0.2719 0.3723 0.2282  1 P 1.55

In eV/f.u., the VASP energy values for the records above are, in order, -48.3; -34.0; -65.1; -173.4; -102.0; -177.0.